[1]
# Na10Ca3Ti5P12O48 | the Materials Project database | PBE | optimized geometry
# - Energy relative to the elements: -280 kJ per mole of atoms
# - Uncorrected energy: -1664.88 eV for the cell shown
# - Magnetization: 0.00 Bohr magnetons per cell
data_Na10Ca3Ti5P12O48
_chemical_formula_sum 'Na30 Ca9 Ti15 P36 O144'
_cell_length_a 17.984
_cell_length_b 9.006
_cell_length_c 22.320
_cell_angle_alpha 89.99
_cell_angle_beta 90.05
_cell_angle_gamma 120.22
_symmetry_space_group_name_H-M 'P 1'
_symmetry_Int_Tables_number 1
loop_
_symmetry_equiv_pos_as_xyz
'x,y,z'
loop_
_atom_site_label
_atom_site_fract_x
_atom_site_fract_y
_atom_site_fract_z
O1 0.479 0.151 0.587
O2 0.096 0.042 0.587
O3 0.146 0.882 0.976
O4 0.900 0.969 0.694
O5 0.823 0.495 0.919
O6 0.559 0.411 0.976
O7 0.595 0.480 0.252
O8 0.729 0.323 0.754
O9 0.981 0.810 0.086
O10 0.087 0.204 0.693
O11 0.735 0.358 0.143
O12 0.092 0.004 0.901
O13 0.255 0.366 0.418
O14 0.924 0.040 0.088
O15 0.238 0.118 0.638
O16 0.323 0.530 0.642
O17 0.410 0.989 0.806
O18 0.504 0.830 0.805
O19 0.145 0.475 0.757
O20 0.570 0.640 0.365
O21 0.646 0.882 0.976
O22 0.094 0.149 0.086
O23 0.592 0.004 0.901
O24 0.441 0.361 0.638
O25 0.945 0.529 0.137
O26 0.595 0.040 0.588
O27 0.518 0.204 0.192
O28 0.899 0.826 0.193
O29 0.911 0.817 0.902
O30 0.570 0.499 0.867
O31 0.092 0.178 0.402
O32 0.571 0.667 0.074
O33 0.940 0.359 0.638
O34 0.763 0.860 0.074
O35 0.764 0.665 0.579
O36 0.253 0.150 0.919
O37 0.910 0.825 0.306
O38 0.072 0.668 0.073
O39 0.998 0.815 0.401
O40 0.424 0.812 0.589
O41 0.765 0.815 0.756
O42 0.562 0.683 0.477
O43 0.070 0.499 0.867
O44 0.763 0.708 0.258
O45 0.733 0.145 0.244
O46 0.926 0.810 0.588
O47 0.418 0.533 0.026
O48 0.650 0.816 0.255
O49 0.603 0.188 0.413
O50 0.820 0.148 0.417
O51 0.820 0.118 0.137
O52 0.494 0.201 0.304
O53 0.424 0.037 0.087
O54 0.059 0.412 0.976
O55 0.793 0.706 0.974
O56 0.018 0.832 0.693
O57 0.729 0.156 0.524
O58 0.142 0.811 0.257
O59 0.926 0.554 0.753
O60 0.930 0.309 0.256
O61 0.146 0.409 0.476
O62 0.679 0.859 0.866
O63 0.919 0.306 0.527
O64 0.005 0.178 0.306
O65 0.762 0.370 0.421
O66 0.401 0.994 0.413
O67 0.664 0.442 0.478
O68 0.088 0.993 0.306
O69 0.059 0.710 0.476
O70 0.480 0.808 0.087
O71 0.323 0.495 0.919
O72 0.087 0.972 0.193
O73 0.390 0.783 0.312
O74 0.345 0.143 0.755
O75 0.275 0.871 0.477
O76 0.178 0.859 0.866
O77 0.265 0.815 0.756
O78 0.498 0.180 0.901
O79 0.233 0.161 0.527
O80 0.925 0.355 0.919
O81 0.518 0.831 0.693
O82 0.681 0.491 0.363
O83 0.749 0.860 0.367
O84 0.609 0.008 0.310
O85 0.087 0.182 0.806
O86 0.645 0.475 0.757
O87 0.910 0.989 0.806
O88 0.092 0.470 0.259
O89 0.911 0.005 0.401
O90 0.321 0.104 0.143
O91 0.845 0.143 0.755
O92 0.349 0.537 0.529
O93 0.069 0.640 0.366
O94 0.259 0.714 0.253
O95 0.230 0.132 0.254
O96 0.583 0.967 0.197
O97 0.998 0.180 0.901
O98 0.400 0.969 0.694
O99 0.235 0.360 0.136
O100 0.752 0.150 0.919
O101 0.232 0.304 0.026
O102 0.328 0.527 0.246
O103 0.004 0.831 0.805
O104 0.165 0.857 0.577
O105 0.261 0.858 0.074
O106 0.411 0.817 0.902
O107 0.737 0.307 0.031
O108 0.429 0.328 0.242
O109 0.180 0.501 0.367
O110 0.229 0.323 0.754
O111 0.587 0.182 0.806
O112 0.796 0.888 0.476
O113 0.441 0.522 0.137
O114 0.919 0.534 0.026
O115 0.347 0.168 0.031
O116 0.754 0.641 0.863
O117 0.016 0.202 0.193
O118 0.666 0.860 0.577
O119 0.165 0.474 0.072
O120 0.978 0.149 0.588
O121 0.596 0.150 0.088
O122 0.926 0.495 0.420
O123 0.424 0.482 0.420
O124 0.587 0.204 0.693
O125 0.293 0.705 0.974
O126 0.591 0.709 0.759
O127 0.426 0.553 0.753
O128 0.425 0.354 0.919
O129 0.499 0.803 0.411
O130 0.252 0.866 0.363
O131 0.740 0.125 0.636
O132 0.070 0.472 0.578
O133 0.261 0.663 0.577
O134 0.570 0.474 0.575
O135 0.669 0.476 0.075
O136 0.315 0.147 0.422
O137 0.850 0.165 0.026
O138 0.417 0.300 0.528
O139 0.840 0.541 0.254
O140 0.254 0.641 0.863
O141 0.848 0.529 0.532
O142 0.825 0.531 0.644
O143 0.401 0.834 0.198
O144 0.091 0.710 0.758
Ti1 0.333 0.337 0.979
Ti2 0.001 0.002 0.853
Ti3 0.332 0.320 0.480
Ti4 0.500 0.997 0.153
Ti5 0.663 0.666 0.820
Ti6 0.163 0.661 0.317
Ti7 0.501 0.002 0.853
Ti8 0.501 0.001 0.651
Ti9 0.002 0.004 0.651
Ti10 0.163 0.667 0.820
Ti11 0.666 0.671 0.318
Ti12 0.833 0.335 0.979
Ti13 0.838 0.346 0.479
Ti14 0.001 0.998 0.352
Ti15 0.000 0.001 0.151
P1 0.311 0.968 0.419
P2 0.509 0.726 0.753
P3 0.853 0.722 0.253
P4 0.839 0.633 0.587
P5 0.638 0.296 0.753
P6 0.183 0.041 0.584
P7 0.479 0.325 0.584
P8 0.182 0.325 0.081
P9 0.345 0.707 0.253
P10 0.009 0.291 0.254
P11 0.168 0.975 0.916
P12 0.138 0.980 0.253
P13 0.977 0.324 0.584
P14 0.507 0.307 0.249
P15 0.684 0.045 0.582
P16 0.513 0.651 0.419
P17 0.014 0.667 0.416
P18 0.337 0.041 0.084
P19 0.012 0.361 0.916
P20 0.512 0.360 0.917
P21 0.838 0.044 0.082
P22 0.821 0.976 0.415
P23 0.854 0.985 0.753
P24 0.337 0.632 0.585
P25 0.667 0.974 0.916
P26 0.479 0.632 0.082
P27 0.675 0.375 0.419
P28 0.980 0.634 0.081
P29 0.167 0.361 0.416
P30 0.320 0.665 0.915
P31 0.139 0.297 0.753
P32 0.685 0.325 0.085
P33 0.354 0.986 0.753
P34 0.820 0.664 0.915
P35 0.009 0.726 0.753
P36 0.645 0.984 0.253
Ca1 0.167 0.668 0.004
Ca2 0.334 0.325 0.693
Ca3 0.159 0.654 0.508
Ca4 0.667 0.667 0.005
Ca5 0.842 0.339 0.190
Ca6 0.673 0.674 0.510
Ca7 0.833 0.323 0.694
Ca8 0.329 0.335 0.187
Ca9 0.500 0.006 0.351
Na1 0.656 0.345 0.578
Na2 0.000 0.000 0.494
Na3 0.500 0.999 0.996
Na4 0.314 0.620 0.750
Na5 0.660 0.668 0.671
Na6 0.833 0.319 0.835
Na7 0.334 0.340 0.329
Na8 0.828 0.969 0.580
Na9 0.156 0.966 0.079
Na10 0.656 0.968 0.079
Na11 0.814 0.619 0.750
Na12 0.334 0.318 0.835
Na13 0.666 0.680 0.168
Na14 0.664 0.022 0.414
Na15 0.500 0.017 0.494
Na16 0.016 0.688 0.580
Na17 0.827 0.690 0.079
Na18 0.326 0.962 0.580
Na19 0.161 0.668 0.670
Na20 0.515 0.687 0.579
Na21 0.321 0.014 0.251
Na22 0.999 0.999 0.995
Na23 0.016 0.345 0.079
Na24 0.327 0.689 0.079
Na25 0.156 0.345 0.579
Na26 0.517 0.344 0.080
Na27 0.687 0.361 0.250
Na28 0.161 0.653 0.168
Na29 0.349 0.673 0.413
Na30 0.847 0.342 0.331


[2]
# Li6Bi5O14 | the Materials Project database | PBE | optimized geometry
# - Energy relative to the elements: -160 kJ per mole of atoms
# - Uncorrected energy: -263.94 eV for the cell shown
# - Magnetization: 0.01 Bohr magnetons per cell
data_Li6Bi5O14
_chemical_formula_sum 'Li12 Bi10 O28'
_cell_length_a 8.203
_cell_length_b 8.203
_cell_length_c 10.667
_cell_angle_alpha 90.00
_cell_angle_beta 90.00
_cell_angle_gamma 95.34
_symmetry_space_group_name_H-M 'P 1'
_symmetry_Int_Tables_number 1
loop_
_symmetry_equiv_pos_as_xyz
'x,y,z'
loop_
_atom_site_label
_atom_site_fract_x
_atom_site_fract_y
_atom_site_fract_z
Bi1 0.372 0.999 0.230
Bi2 0.762 0.935 0.235
Bi3 0.462 0.538 0.747
Bi4 0.001 0.628 0.230
Bi5 0.238 0.065 0.735
Bi6 0.999 0.372 0.730
Bi7 0.065 0.238 0.235
Bi8 0.538 0.462 0.247
Bi9 0.628 0.001 0.730
Bi10 0.935 0.762 0.735
Li1 0.185 0.354 0.976
Li2 0.204 0.505 0.511
Li3 0.646 0.815 0.976
Li4 0.006 0.994 0.456
Li5 0.728 0.272 0.433
Li6 0.815 0.646 0.476
Li7 0.272 0.728 0.933
Li8 0.354 0.185 0.476
Li9 0.505 0.204 0.011
Li10 0.994 0.006 0.956
Li11 0.495 0.796 0.511
Li12 0.796 0.495 0.011
O1 0.785 0.487 0.333
O2 0.200 0.275 0.618
O3 0.146 0.458 0.336
O4 0.222 0.778 0.160
O5 0.060 0.940 0.619
O6 0.866 0.134 0.356
O7 0.081 0.192 0.859
O8 0.542 0.854 0.336
O9 0.134 0.866 0.856
O10 0.006 0.424 0.097
O11 0.576 0.994 0.097
O12 0.192 0.081 0.359
O13 0.458 0.146 0.836
O14 0.994 0.576 0.597
O15 0.854 0.542 0.836
O16 0.215 0.513 0.833
O17 0.808 0.919 0.859
O18 0.725 0.800 0.618
O19 0.778 0.222 0.660
O20 0.424 0.006 0.597
O21 0.589 0.411 0.063
O22 0.411 0.589 0.563
O23 0.919 0.808 0.359
O24 0.940 0.060 0.119
O25 0.275 0.200 0.118
O26 0.487 0.785 0.833
O27 0.513 0.215 0.333
O28 0.800 0.725 0.118


[3]
# AgHg3 | the Materials Project database | PBE | optimized geometry
# - Energy relative to the elements: 11 kJ per mole of atoms
# - Uncorrected energy: -3.29 eV for the cell shown
# - Magnetization: 0.00 Bohr magnetons per cell
data_AgHg3
_chemical_formula_sum 'Ag1 Hg3'
_cell_length_a 4.505
_cell_length_b 4.505
_cell_length_c 4.505
_cell_angle_alpha 90.00
_cell_angle_beta 90.00
_cell_angle_gamma 90.00
_symmetry_space_group_name_H-M 'P 1'
_symmetry_Int_Tables_number 1
loop_
_symmetry_equiv_pos_as_xyz
'x,y,z'
loop_
_atom_site_label
_atom_site_fract_x
_atom_site_fract_y
_atom_site_fract_z
Hg1 0.000 0.500 0.500
Hg2 0.500 0.500 0.000
Hg3 0.500 0.000 0.500
Ag1 0.000 0.000 0.000


[4]
# SiO2 | the Materials Project database | PBE | optimized geometry
# - Energy relative to the elements: -314 kJ per mole of atoms
# - Uncorrected energy: -47.42 eV for the cell shown
data_SiO2
_chemical_formula_sum 'Si2 O4'
_cell_length_a 5.276
_cell_length_b 5.276
_cell_length_c 5.276
_cell_angle_alpha 60.00
_cell_angle_beta 60.00
_cell_angle_gamma 60.00
_symmetry_space_group_name_H-M 'P 1'
_symmetry_Int_Tables_number 1
loop_
_symmetry_equiv_pos_as_xyz
'x,y,z'
loop_
_atom_site_label
_atom_site_fract_x
_atom_site_fract_y
_atom_site_fract_z
O1 0.625 0.625 0.625
O2 0.625 0.125 0.625
O3 0.625 0.625 0.125
O4 0.125 0.625 0.625
Si1 0.750 0.750 0.750
Si2 0.500 0.500 0.500


- What is the uncorrected energy in the second record?
  -263.94 eV for the cell shown


- Among the records above, which one has the highest uncorrected energy?
  AgHg3